The following is a PBE-GGA calculation of a relaxed structure of SrMg14V, from the Materials Project database.

abc: 6.5409 6.4980 10.4316
angles: 90.00 90.00 119.78
Last column: nearest neighbours and their distance in Å.
Sites, in units of the cell vectors:
Mg 0.3362 0.1790 0.8685  10 Mg 3.11-3.39, 1 V 3.23, 1 Sr 3.31
Mg 0.6661 0.8354 0.6250  12 Mg 3.10-3.31
Mg 0.3362 0.6572 0.8685  10 Mg 3.11-3.39, 1 V 3.23, 1 Sr 3.31
Mg 0.3362 0.1790 0.3815  10 Mg 3.11-3.39, 1 V 3.23, 1 Sr 3.31
Mg 0.1653 0.3327 0.6250  12 Mg 3.13-3.28
Mg 0.6661 0.3307 0.6250  12 Mg 3.10-3.31
Mg 0.6602 0.3362 0.1250  8 Mg 3.17-3.33, 2 V 3.19-3.35, 2 Sr 3.27
Mg 0.1680 0.8340 0.6250  12 Mg 3.15-3.29
Mg 0.8409 0.1704 0.3651  1 V 3.13, 11 Mg 3.18-3.33
Mg 0.8254 0.6627 0.3877  11 Mg 3.10-3.36, 1 Sr 3.35
Mg 0.6602 0.8240 0.1250  8 Mg 3.17-3.33, 2 V 3.19-3.35, 2 Sr 3.27
Mg 0.3362 0.6572 0.3815  10 Mg 3.11-3.39, 1 V 3.23, 1 Sr 3.31
Mg 0.8254 0.6627 0.8623  11 Mg 3.10-3.36, 1 Sr 3.35
Mg 0.8409 0.1704 0.8849  1 V 3.13, 11 Mg 3.18-3.33
V 0.1722 0.3361 0.1250  10 Mg 3.13-3.35, 2 Sr 3.25
Sr 0.1644 0.8322 0.1250  2 V 3.25, 10 Mg 3.27-3.35

Calculated values
Space group: Amm2, No. 38
Formation energy, eV/atom: 0.128
Total moment, μB per atom: 0.196
Distance to the lowest polymorph of the same formula, meV/atom: 0

The following is a PBE-GGA calculation of a relaxed structure of SrMg14V, from the Materials Project database.

abc: 6.5261 6.5261 10.3703
angles: 90.00 90.00 120.00
Last column: nearest neighbours and their distance in Å.
Sites, in units of the cell vectors:
Mg 0.3345 0.6691 0.8912  10 Mg 3.07-3.32, 1 V 3.08, 1 Sr 3.35
Mg 0.1647 0.8324 0.1250  10 Mg 3.07-3.28, 2 V 3.26
Mg 0.3345 0.1655 0.8912  10 Mg 3.07-3.32, 1 V 3.08, 1 Sr 3.35
Mg 0.6676 0.8324 0.1250  10 Mg 3.07-3.28, 2 V 3.26
Mg 0.3345 0.6691 0.3588  10 Mg 3.07-3.32, 1 V 3.08, 1 Sr 3.35
Mg 0.6610 0.3219 0.6250  10 Mg 3.15-3.37, 2 Sr 3.26
Mg 0.1781 0.8390 0.6250  10 Mg 3.15-3.37, 2 Sr 3.26
Mg 0.8309 0.1655 0.3588  10 Mg 3.07-3.32, 1 V 3.08, 1 Sr 3.35
Mg 0.6610 0.8390 0.6250  10 Mg 3.15-3.37, 2 Sr 3.26
Mg 0.8309 0.1655 0.8912  10 Mg 3.07-3.32, 1 V 3.08, 1 Sr 3.35
Mg 0.8333 0.6667 0.3820  12 Mg 3.19-3.27
Mg 0.8333 0.6667 0.8680  12 Mg 3.19-3.27
Mg 0.6676 0.3353 0.1250  10 Mg 3.07-3.28, 2 V 3.26
Mg 0.3345 0.1655 0.3588  10 Mg 3.07-3.32, 1 V 3.08, 1 Sr 3.35
V 0.1667 0.3333 0.1250  12 Mg 3.08-3.26
Sr 0.1667 0.3333 0.6250  12 Mg 3.26-3.35

Calculated values
Space group: P-6m2, No. 187
Formation energy, eV/atom: 0.131
Total moment, μB per atom: 0.201
Distance to the lowest polymorph of the same formula, meV/atom: 3

The following is a PBE-GGA calculation of a relaxed structure of SrYMg14, from the Materials Project database.

abc: 6.6429 6.6499 10.5858
angles: 90.00 90.00 120.04
Last column: nearest neighbours and their distance in Å.
Sites, in units of the cell vectors:
Y 0.1753 0.3377 0.1250  10 Mg 3.26-3.38, 2 Sr 3.33
Mg 0.6678 0.3334 0.6250  12 Mg 3.15-3.34
Mg 0.8310 0.1655 0.3761  11 Mg 3.25-3.34, 1 Y 3.31
Mg 0.3386 0.1748 0.3869  10 Mg 3.15-3.42, 1 Y 3.35, 1 Sr 3.39
Mg 0.8229 0.6615 0.8669  11 Mg 3.18-3.42, 1 Sr 3.38
Mg 0.8310 0.1655 0.8739  11 Mg 3.25-3.34, 1 Y 3.31
Mg 0.6678 0.8344 0.6250  12 Mg 3.15-3.34
Mg 0.3386 0.6638 0.8631  10 Mg 3.15-3.42, 1 Y 3.35, 1 Sr 3.39
Mg 0.1645 0.3322 0.6250  12 Mg 3.16-3.34
Mg 0.3386 0.6638 0.3869  10 Mg 3.15-3.42, 1 Y 3.35, 1 Sr 3.39
Mg 0.1657 0.8329 0.6250  12 Mg 3.20-3.33
Mg 0.3386 0.1748 0.8631  10 Mg 3.15-3.42, 1 Y 3.35, 1 Sr 3.39
Mg 0.6635 0.3314 0.1250  2 Y 3.26-3.38, 8 Mg 3.28-3.34, 2 Sr 3.29-3.35
Mg 0.8229 0.6615 0.3831  11 Mg 3.18-3.42, 1 Sr 3.38
Mg 0.6635 0.8321 0.1250  2 Y 3.26-3.38, 8 Mg 3.28-3.34, 2 Sr 3.29-3.35
Sr 0.1695 0.8348 0.1250  10 Mg 3.29-3.39, 2 Y 3.33

Calculated values
Space group: Amm2, No. 38
Formation energy, eV/atom: 0.042
Total moment, μB per atom: 0.000
Distance to the lowest polymorph of the same formula, meV/atom: 12

The following is a PBE-GGA calculation of a relaxed structure of SrYMg14, from the Materials Project database.

abc: 6.6917 6.6917 10.5469
angles: 90.00 90.00 120.00
Last column: nearest neighbours and their distance in Å.
Sites, in units of the cell vectors:
Mg 0.6625 0.3250 0.6250  10 Mg 3.26-3.43, 2 Sr 3.35
Mg 0.8333 0.6667 0.3759  12 Mg 3.29-3.35
Mg 0.3393 0.6786 0.8799  10 Mg 3.20-3.47, 1 Y 3.27, 1 Sr 3.35
Mg 0.6637 0.3273 0.1250  10 Mg 3.20-3.41, 2 Y 3.35
Mg 0.3393 0.1607 0.8799  10 Mg 3.20-3.47, 1 Y 3.27, 1 Sr 3.35
Mg 0.6625 0.8375 0.6250  10 Mg 3.26-3.43, 2 Sr 3.35
Mg 0.1750 0.8375 0.6250  10 Mg 3.26-3.43, 2 Sr 3.35
Mg 0.3393 0.1607 0.3701  10 Mg 3.20-3.47, 1 Y 3.27, 1 Sr 3.35
Mg 0.8214 0.1607 0.3701  10 Mg 3.20-3.47, 1 Y 3.27, 1 Sr 3.35
Mg 0.1727 0.8363 0.1250  10 Mg 3.20-3.41, 2 Y 3.35
Mg 0.8214 0.1607 0.8799  10 Mg 3.20-3.47, 1 Y 3.27, 1 Sr 3.35
Mg 0.8333 0.6667 0.8741  12 Mg 3.29-3.35
Mg 0.6637 0.8363 0.1250  10 Mg 3.20-3.41, 2 Y 3.35
Mg 0.3393 0.6786 0.3701  10 Mg 3.20-3.47, 1 Y 3.27, 1 Sr 3.35
Sr 0.1667 0.3333 0.6250  12 Mg 3.35
Y 0.1667 0.3333 0.1250  12 Mg 3.27-3.35

Calculated values
Space group: P-6m2, No. 187
Formation energy, eV/atom: 0.030
Total moment, μB per atom: 0.001
Distance to the lowest polymorph of the same formula, meV/atom: 0

The following is a PBE-GGA calculation of a relaxed structure of SrMg14Zn, from the Materials Project database.

abc: 6.5134 6.4764 10.5713
angles: 90.00 90.00 119.81
Last column: nearest neighbours and their distance in Å.
Sites, in units of the cell vectors:
Sr 0.1578 0.8289 0.1250  2 Zn 3.25, 10 Mg 3.25-3.37
Mg 0.3363 0.6610 0.8653  10 Mg 3.14-3.33, 1 Zn 3.25, 1 Sr 3.37
Mg 0.1634 0.3317 0.6250  12 Mg 3.14-3.33
Mg 0.6511 0.8134 0.1250  1 Zn 2.97, 5 Mg 3.08-3.27, 2 Sr 3.25-3.26
Mg 0.3363 0.1753 0.8653  10 Mg 3.14-3.33, 1 Zn 3.25, 1 Sr 3.37
Mg 0.8396 0.1698 0.8882  11 Mg 3.21-3.35, 1 Zn 3.23
Mg 0.1678 0.8339 0.6250  12 Mg 3.16-3.28
Mg 0.3363 0.1753 0.3847  10 Mg 3.14-3.33, 1 Zn 3.25, 1 Sr 3.37
Mg 0.3363 0.6610 0.3847  10 Mg 3.14-3.33, 1 Zn 3.25, 1 Sr 3.37
Mg 0.6663 0.8365 0.6250  12 Mg 3.12-3.35
Mg 0.6663 0.3298 0.6250  12 Mg 3.12-3.35
Mg 0.8396 0.1698 0.3618  11 Mg 3.21-3.35, 1 Zn 3.23
Mg 0.6511 0.3377 0.1250  1 Zn 2.97, 5 Mg 3.08-3.27, 2 Sr 3.25-3.26
Mg 0.8252 0.6626 0.3884  11 Mg 3.12-3.33, 1 Sr 3.36
Mg 0.8252 0.6626 0.8616  11 Mg 3.12-3.33, 1 Sr 3.36
Zn 0.2016 0.3508 0.1250  8 Mg 2.97-3.25, 2 Sr 3.25

Calculated values
Space group: Amm2, No. 38
Formation energy, eV/atom: 0.030
Total moment, μB per atom: 0.000
Distance to the lowest polymorph of the same formula, meV/atom: 0

The following is a PBE-GGA calculation of a relaxed structure of SrMg14Zn, from the Materials Project database.

abc: 6.4980 6.4980 10.5331
angles: 90.00 90.00 120.00
Last column: nearest neighbours and their distance in Å.
Sites, in units of the cell vectors:
Mg 0.1619 0.8309 0.1250  10 Mg 3.10-3.30, 2 Zn 3.25
Mg 0.6600 0.3201 0.6250  10 Mg 3.12-3.38, 2 Sr 3.25
Mg 0.3339 0.1661 0.8919  1 Zn 3.09, 10 Mg 3.10-3.36, 1 Sr 3.38
Mg 0.3339 0.1661 0.3581  1 Zn 3.09, 10 Mg 3.10-3.36, 1 Sr 3.38
Mg 0.3339 0.6678 0.8919  1 Zn 3.09, 10 Mg 3.10-3.36, 1 Sr 3.38
Mg 0.6600 0.8400 0.6250  10 Mg 3.12-3.38, 2 Sr 3.25
Mg 0.8333 0.6667 0.3814  12 Mg 3.22-3.27
Mg 0.8322 0.1661 0.3581  1 Zn 3.09, 10 Mg 3.10-3.36, 1 Sr 3.38
Mg 0.6691 0.3381 0.1250  10 Mg 3.10-3.30, 2 Zn 3.25
Mg 0.6691 0.8309 0.1250  10 Mg 3.10-3.30, 2 Zn 3.25
Mg 0.8322 0.1661 0.8919  1 Zn 3.09, 10 Mg 3.10-3.36, 1 Sr 3.38
Mg 0.1799 0.8400 0.6250  10 Mg 3.12-3.38, 2 Sr 3.25
Mg 0.8333 0.6667 0.8686  12 Mg 3.22-3.27
Mg 0.3339 0.6678 0.3581  1 Zn 3.09, 10 Mg 3.10-3.36, 1 Sr 3.38
Zn 0.1667 0.3333 0.1250  12 Mg 3.09-3.25
Sr 0.1667 0.3333 0.6250  12 Mg 3.25-3.38

Calculated values
Space group: P-6m2, No. 187
Formation energy, eV/atom: 0.042
Total moment, μB per atom: 0.000
Distance to the lowest polymorph of the same formula, meV/atom: 11

The following is a PBE-GGA calculation of a relaxed structure of SrMg6Zr, from the Materials Project database.

abc: 5.2755 6.9522 11.2142
angles: 90.00 90.00 90.00
Last column: nearest neighbours and their distance in Å.
Sites, in units of the cell vectors:
Mg 0.5000 0.0000 0.1600  10 Mg 3.18-3.40, 2 Sr 3.48
Mg 0.0000 0.2300 0.0919  1 Zr 3.11, 7 Mg 3.18-3.38, 2 Sr 3.29
Mg 0.0000 0.5000 0.8516  10 Mg 3.28-3.40, 2 Zr 3.48
Mg 0.5000 0.2293 0.9033  2 Zr 3.13, 7 Mg 3.19-3.38, 2 Sr 3.29-3.32
Mg 0.0000 0.2700 0.5919  1 Zr 3.11, 7 Mg 3.18-3.38, 2 Sr 3.29
Mg 0.5000 0.5000 0.6600  10 Mg 3.18-3.40, 2 Sr 3.48
Mg 0.0000 0.0000 0.3516  10 Mg 3.28-3.40, 2 Zr 3.48
Mg 0.0000 0.7700 0.0919  1 Zr 3.11, 7 Mg 3.18-3.38, 2 Sr 3.29
Mg 0.5000 0.7707 0.9033  2 Zr 3.13, 7 Mg 3.19-3.38, 2 Sr 3.29-3.32
Mg 0.5000 0.2707 0.4033  2 Zr 3.13, 7 Mg 3.19-3.38, 2 Sr 3.29-3.32
Mg 0.5000 0.7293 0.4033  2 Zr 3.13, 7 Mg 3.19-3.38, 2 Sr 3.29-3.32
Mg 0.0000 0.7300 0.5919  1 Zr 3.11, 7 Mg 3.18-3.38, 2 Sr 3.29
Zr 0.0000 0.5000 0.3541  8 Mg 3.11-3.48
Zr 0.0000 0.0000 0.8541  8 Mg 3.11-3.48
Sr 0.5000 0.0000 0.6440  10 Mg 3.29-3.48, 2 Zr 3.54
Sr 0.5000 0.5000 0.1440  10 Mg 3.29-3.48, 2 Zr 3.54

Calculated values
Formation energy, eV/atom: 0.142
Total moment, μB per atom: 0.000
Distance to the lowest polymorph of the same formula, meV/atom: 81

The following is a PBE-GGA calculation of a relaxed structure of SrMg6Zr, from the Materials Project database.

abc: 6.5858 6.5858 4.7559
angles: 90.00 90.00 91.08
Last column: nearest neighbours and their distance in Å.
Sites, in units of the cell vectors:
Sr 0.3715 0.6285 0.5000  12 Mg 3.29-3.50
Mg 0.1042 0.3532 0.0000  6 Mg 3.02-3.35, 2 Zr 3.18
Mg 0.6439 0.3561 0.0000  6 Mg 3.03-3.29, 2 Zr 3.23
Mg 0.3797 0.1286 0.5000  2 Zr 3.28-3.31, 8 Mg 3.29-3.35, 2 Sr 3.29
Mg 0.8714 0.6203 0.5000  2 Zr 3.28-3.31, 8 Mg 3.29-3.35, 2 Sr 3.29
Mg 0.6468 0.8958 0.0000  6 Mg 3.02-3.35, 2 Zr 3.18
Mg 0.1054 0.8946 0.0000  6 Mg 3.02-3.34, 2 Zr 3.20
Zr 0.8770 0.1230 0.5000  12 Mg 3.18-3.31

Calculated values
Space group: Amm2, No. 38
Formation energy, eV/atom: 0.061
Total moment, μB per atom: 0.093
Distance to the lowest polymorph of the same formula, meV/atom: 0

The following is a PBE-GGA calculation of a relaxed structure of SrMg6Zr, from the Materials Project database.

abc: 6.6387 6.6387 4.6731
angles: 90.00 90.00 90.01
Last column: nearest neighbours and their distance in Å.
Sites, in units of the cell vectors:
Mg 0.8748 0.6247 0.5000  8 Mg 3.32, 2 Zr 3.32, 2 Sr 3.32
Mg 0.1042 0.3541 0.0000  6 Mg 3.04-3.32, 2 Zr 3.18
Mg 0.3753 0.1252 0.5000  8 Mg 3.32, 2 Zr 3.32, 2 Sr 3.32
Mg 0.6459 0.3541 0.0000  6 Mg 3.04-3.32, 2 Zr 3.18
Mg 0.6459 0.8958 0.0000  6 Mg 3.04-3.32, 2 Zr 3.18
Mg 0.1041 0.8959 0.0000  6 Mg 3.04-3.32, 2 Zr 3.18
Sr 0.3747 0.6253 0.5000  12 Mg 3.32-3.46
Zr 0.8751 0.1249 0.5000  12 Mg 3.18-3.32

Calculated values
Space group: P4/mmm, No. 123
Formation energy, eV/atom: 0.061
Total moment, μB per atom: 0.061
Distance to the lowest polymorph of the same formula, meV/atom: 0